Computed, not measured: a relaxed structure of BaCaZr2O6 at the PBE level of DFT.

The energy relative to the elements comes out at -35.78 eV/f.u. Its energy above the most stable polymorph in this dataset is 0.376 eV/f.u. For the corrected total energy (MP2020 scheme), the calculation gives -172.97 eV per cell.

The structure belongs to space group Cmmm (No. 65); the cell edges are 8.267, 8.386 and 4.234 Å and the angles 90.00°, 90.00° and 90.00°. The inequivalent atoms are Ba at (0.000, 0.000, 0.000), Ca at (0.000, 0.500, 0.000), Zr at (0.250, 0.250, 0.500), O at (0.000, 0.205, 0.500), O at (0.193, 0.500, 0.500) and O at (0.250, 0.250, 0.000).